This record from the Materials Project database describes a geometry-optimized Te6RhCl3 structure. The functional is r²SCAN.

Values from the calculation:
Its energy of formation is -0.429 eV/atom. The spin magnetization comes out at 0.00 Bohr magnetons per cell.

```
data_Te6RhCl3
_symmetry_space_group_name_H-M 'R -3 c'
_symmetry_Int_Tables_number 167
_symmetry_space_group_name_Hall '-R 3 2"c'
_cell_length_a 14.6574
_cell_length_b 14.6574
_cell_length_c 9.7790
_cell_angle_alpha 90.00
_cell_angle_beta 90.00
_cell_angle_gamma 120.00
loop_
_atom_site_label
_atom_site_type_symbol
_atom_site_fract_x
_atom_site_fract_y
_atom_site_fract_z
Te1 Te 0.0789 0.1739 0.0941
Rh1 Rh 0.0000 0.0000 0.2500
Cl1 Cl 0.0000 0.2643 0.7500
```

---

This record from the Materials Project database describes a geometry-optimized RuS3Cl8 structure. The functional is r²SCAN.

Values from the calculation:
Its energy of formation is -0.369 eV/atom. The spin magnetization comes out at 0.00 Bohr magnetons per cell.

```
data_RuS3Cl8
_symmetry_space_group_name_H-M 'P -1'
_symmetry_Int_Tables_number 2
_symmetry_space_group_name_Hall '-P 1'
_cell_length_a 7.889
_cell_length_b 8.213
_cell_length_c 10.775
_cell_angle_alpha 103.61
_cell_angle_beta 98.15
_cell_angle_gamma 109.02
loop_
_atom_site_label
_atom_site_type_symbol
_atom_site_fract_x
_atom_site_fract_y
_atom_site_fract_z
Ru1 Ru 0.115 0.155 0.169
S1 S 0.030 0.367 0.284
S2 S 0.324 0.335 0.088
S3 S 0.331 0.194 0.342
Cl1 Cl 0.038 0.559 0.191
Cl2 Cl 0.116 0.875 0.027
Cl3 Cl 0.137 0.038 0.768
Cl4 Cl 0.217 0.529 0.460
Cl5 Cl 0.226 0.089 0.483
Cl6 Cl 0.482 0.040 0.291
Cl7 Cl 0.482 0.767 0.963
Cl8 Cl 0.500 0.439 0.762
```

---

This record from the Materials Project database describes a geometry-optimized Sm2SCl4 structure. The functional is r²SCAN.

Values from the calculation:
Its energy of formation is -2.522 eV/atom. The spin magnetization comes out at 0.00 Bohr magnetons per cell.

```
data_Sm2SCl4
_symmetry_space_group_name_H-M 'C 1 2/c 1'
_symmetry_Int_Tables_number 15
_symmetry_space_group_name_Hall '-C 2yc'
_cell_length_a 15.245
_cell_length_b 6.426
_cell_length_c 7.036
_cell_angle_alpha 90.00
_cell_angle_beta 98.03
_cell_angle_gamma 90.00
loop_
_atom_site_label
_atom_site_type_symbol
_atom_site_fract_x
_atom_site_fract_y
_atom_site_fract_z
Sm1 Sm 0.107 0.208 0.077
S1 S 0.000 0.066 0.750
Cl1 Cl 0.088 0.394 0.425
Cl2 Cl 0.220 0.080 0.821
```

---

This record from the Materials Project database describes a geometry-optimized WS8Cl6 structure. The functional is r²SCAN.

Values from the calculation:
Its energy of formation is -0.445 eV/atom. The spin magnetization comes out at 0.00 Bohr magnetons per cell.

```
data_WS8Cl6
_symmetry_space_group_name_H-M 'P -1'
_symmetry_Int_Tables_number 2
_symmetry_space_group_name_Hall '-P 1'
_cell_length_a 8.079
_cell_length_b 8.080
_cell_length_c 12.985
_cell_angle_alpha 100.51
_cell_angle_beta 96.97
_cell_angle_gamma 90.15
loop_
_atom_site_label
_atom_site_type_symbol
_atom_site_fract_x
_atom_site_fract_y
_atom_site_fract_z
W1 W 0.224 0.212 0.392
S1 S 0.030 0.411 0.831
S2 S 0.092 0.228 0.918
S3 S 0.185 0.617 0.887
S4 S 0.244 0.059 0.840
S5 S 0.376 0.609 0.795
S6 S 0.411 0.740 0.196
S7 S 0.420 0.490 0.132
S8 S 0.487 0.122 0.900
Cl1 Cl 0.046 0.700 0.608
Cl2 Cl 0.136 0.940 0.387
Cl3 Cl 0.190 0.165 0.211
Cl4 Cl 0.256 0.256 0.572
Cl5 Cl 0.312 0.485 0.397
Cl6 Cl 0.495 0.127 0.392
```